Entry 1:
Li4Cr2C4SO16 | PBE+U | optimized geometry Values from VASP.

Calculated values
- energy above the lowest structure with this stoichiometry (kcal/mol of atoms) = 0.000
- space group = Fddd, No. 70
- calculated total energy (eV per atom) = -6.98

```
&SYSTEM
  ibrav = 0, nat = 54, ntyp = 5
/
ATOMIC_SPECIES
Li 6.94 Li.upf
Cr 52.00 Cr.upf
C 12.01 C.upf
S 32.06 S.upf
O 16.00 O.upf
CELL_PARAMETERS angstrom
0.000 6.615 7.021
6.475 0.000 7.021
6.475 6.615 0.000
ATOMIC_POSITIONS crystal
Li 0.952 0.548 0.952
Li 0.954 0.546 0.546
Li 0.704 0.296 0.296
Li 0.702 0.298 0.702
Li 0.548 0.952 0.548
Li 0.546 0.954 0.954
Li 0.296 0.704 0.704
Li 0.298 0.702 0.298
Cr 0.125 0.625 0.125
Cr 0.625 0.125 0.125
Cr 0.125 0.125 0.125
Cr 0.125 0.125 0.625
C 0.896 0.276 0.917
C 0.974 0.354 0.339
C 0.917 0.911 0.896
C 0.911 0.917 0.276
C 0.339 0.333 0.974
C 0.333 0.339 0.354
C 0.276 0.896 0.911
C 0.354 0.974 0.333
S 0.500 0.500 0.500
S 0.750 0.750 0.750
O 0.018 0.282 0.935
O 0.559 0.556 0.306
O 0.759 0.268 0.045
O 0.982 0.491 0.322
O 0.045 0.928 0.759
O 0.968 0.337 0.211
O 0.306 0.579 0.559
O 0.556 0.559 0.579
O 0.484 0.211 0.337
O 0.928 0.045 0.268
O 0.968 0.232 0.484
O 0.579 0.306 0.556
O 0.935 0.766 0.018
O 0.766 0.935 0.282
O 0.913 0.282 0.766
O 0.211 0.484 0.968
O 0.039 0.766 0.282
O 0.337 0.968 0.484
O 0.484 0.315 0.968
O 0.315 0.484 0.232
O 0.671 0.944 0.694
O 0.282 0.018 0.766
O 0.322 0.205 0.982
O 0.766 0.039 0.913
O 0.694 0.691 0.671
O 0.944 0.671 0.691
O 0.282 0.913 0.039
O 0.205 0.322 0.491
O 0.268 0.759 0.928
O 0.491 0.982 0.205
O 0.691 0.694 0.944
O 0.232 0.968 0.315
```

Entry 2:
MgFeSb4O12 | PBE+U | optimized geometry Values from VASP.

Calculated values
- energy above the lowest structure with this stoichiometry (kcal/mol of atoms) = 0.000
- space group = P1, No. 1
- calculated total energy (eV per atom) = -6.10

```
&SYSTEM
  ibrav = 0, nat = 18, ntyp = 4
/
ATOMIC_SPECIES
Mg 24.30 Mg.upf
Fe 55.84 Fe.upf
Sb 121.76 Sb.upf
O 16.00 O.upf
CELL_PARAMETERS angstrom
5.467 -0.080 -0.052
6.024 9.176 -0.063
6.029 6.210 4.261
ATOMIC_POSITIONS crystal
Mg 0.783 0.503 0.769
Fe 0.282 0.003 0.266
Sb 0.010 0.996 0.982
Sb 0.969 0.502 0.005
Sb 0.469 0.998 0.509
Sb 0.507 0.503 0.475
O 0.362 0.305 0.109
O 0.243 0.134 0.606
O 0.117 0.306 0.751
O 0.855 0.202 0.213
O 0.366 0.819 0.118
O 0.745 0.365 0.374
O 0.195 0.614 0.631
O 0.622 0.195 0.860
O 0.114 0.839 0.687
O 0.863 0.682 0.255
O 0.707 0.876 0.368
O 0.612 0.664 0.864
```

Entry 3:
NaCoP2HO7 | PBE+U | optimized geometry Values from VASP.

Calculated values
- space group = P1, No. 1
- calculated total energy (eV per atom) = -6.54

```
&SYSTEM
  ibrav = 0, nat = 48, ntyp = 5
/
ATOMIC_SPECIES
Na 22.99 Na.upf
Co 58.93 Co.upf
P 30.97 P.upf
H 1.01 H.upf
O 16.00 O.upf
CELL_PARAMETERS angstrom
2.246 4.668 4.224
-5.166 7.801 -0.914
-6.769 -3.807 4.959
ATOMIC_POSITIONS crystal
Na 0.753 0.178 0.944
Na 0.753 0.680 0.443
Na 0.247 0.820 0.057
Na 0.248 0.320 0.556
Co 0.111 0.965 0.682
Co 0.889 0.035 0.320
Co 0.108 0.465 0.179
Co 0.887 0.535 0.819
P 0.218 0.199 0.946
P 0.217 0.699 0.446
P 0.783 0.801 0.053
P 0.784 0.301 0.554
P 0.637 0.394 0.227
P 0.638 0.894 0.726
P 0.362 0.606 0.773
P 0.364 0.106 0.274
H 0.309 0.374 0.825
H 0.311 0.873 0.326
H 0.688 0.631 0.173
H 0.690 0.130 0.674
O 0.377 0.115 0.099
O 0.377 0.615 0.599
O 0.622 0.885 0.901
O 0.624 0.384 0.402
O 0.111 0.589 0.375
O 0.110 0.090 0.876
O 0.890 0.411 0.625
O 0.888 0.912 0.123
O 0.757 0.234 0.189
O 0.758 0.734 0.689
O 0.241 0.765 0.811
O 0.246 0.264 0.312
O 0.050 0.347 0.982
O 0.050 0.846 0.481
O 0.950 0.655 0.018
O 0.952 0.153 0.519
O 0.405 0.470 0.146
O 0.406 0.969 0.643
O 0.593 0.531 0.857
O 0.596 0.028 0.356
O 0.369 0.237 0.856
O 0.370 0.737 0.357
O 0.631 0.763 0.144
O 0.632 0.262 0.644
O 0.778 0.496 0.217
O 0.779 0.996 0.718
O 0.222 0.503 0.782
O 0.223 0.003 0.282
```

Entry 4:
CaBiMoO5 | PBE+U | optimized geometry Values from VASP.

Calculated values
- energy above the lowest structure with this stoichiometry (kcal/mol of atoms) = 0.718
- space group = P2_1/c, No. 14
- calculated total energy (eV per atom) = -6.61

```
&SYSTEM
  ibrav = 0, nat = 32, ntyp = 4
/
ATOMIC_SPECIES
Ca 40.08 Ca.upf
Bi 208.98 Bi.upf
Mo 95.94 Mo.upf
O 16.00 O.upf
CELL_PARAMETERS angstrom
-4.003 2.724 -3.235
3.857 -6.057 -4.894
-8.276 -8.061 3.454
ATOMIC_POSITIONS crystal
Ca 0.623 0.183 0.915
Ca 0.377 0.817 0.085
Ca 0.877 0.317 0.415
Ca 0.123 0.683 0.585
Bi 0.113 0.144 0.102
Bi 0.887 0.856 0.898
Bi 0.613 0.644 0.398
Bi 0.387 0.356 0.602
Mo 0.792 0.976 0.639
Mo 0.208 0.024 0.361
Mo 0.708 0.524 0.139
Mo 0.292 0.476 0.861
O 0.542 0.328 0.074
O 0.041 0.331 0.933
O 0.495 0.632 0.191
O 0.740 0.512 0.528
O 0.785 0.493 0.291
O 0.285 0.993 0.209
O 0.541 0.831 0.567
O 0.459 0.169 0.433
O 0.260 0.488 0.472
O 0.958 0.172 0.574
O 0.215 0.507 0.709
O 0.458 0.672 0.926
O 0.042 0.828 0.426
O 0.715 0.007 0.791
O 0.760 0.988 0.028
O 0.240 0.012 0.972
O 0.505 0.368 0.809
O 0.959 0.669 0.067
O 0.005 0.868 0.691
O 0.995 0.132 0.309
```

Entry 5:
Ho2TeMo6O46 | PBE+U | optimized geometry Values from VASP.

Calculated values
- space group = P-1, No. 2
- calculated total energy (eV per atom) = -6.02

```
&SYSTEM
  ibrav = 0, nat = 55, ntyp = 4
/
ATOMIC_SPECIES
Ho 164.93 Ho.upf
Te 127.60 Te.upf
Mo 95.94 Mo.upf
O 16.00 O.upf
CELL_PARAMETERS angstrom
-7.436 -4.157 -2.280
8.548 -0.630 -5.756
3.479 -7.558 8.776
ATOMIC_POSITIONS crystal
Ho 0.015 0.000 0.310
Ho 0.985 0.000 0.690
Te 0.500 0.500 0.500
Mo 0.477 0.234 0.648
Mo 0.523 0.766 0.352
Mo 0.315 0.455 0.742
Mo 0.685 0.545 0.258
Mo 0.343 0.716 0.602
Mo 0.657 0.284 0.398
O 0.281 0.308 0.536
O 0.719 0.692 0.464
O 0.519 0.611 0.649
O 0.481 0.389 0.351
O 0.639 0.416 0.564
O 0.361 0.584 0.436
O 0.492 0.390 0.755
O 0.508 0.610 0.245
O 0.191 0.528 0.653
O 0.809 0.472 0.347
O 0.429 0.133 0.470
O 0.571 0.867 0.530
O 0.641 0.208 0.710
O 0.359 0.792 0.290
O 0.258 0.072 0.657
O 0.742 0.928 0.343
O 0.382 0.570 0.877
O 0.618 0.430 0.123
O 0.126 0.265 0.743
O 0.874 0.735 0.257
O 0.187 0.738 0.521
O 0.813 0.262 0.479
O 0.441 0.859 0.728
O 0.559 0.141 0.272
O 0.138 0.890 0.121
O 0.862 0.110 0.879
O 0.117 0.202 0.452
O 0.883 0.798 0.548
O 0.259 0.016 0.401
O 0.741 0.984 0.599
O 0.017 0.153 0.189
O 0.983 0.847 0.811
O 0.981 0.265 0.238
O 0.019 0.735 0.762
O 0.754 0.831 0.051
O 0.246 0.169 0.949
O 0.996 0.635 0.819
O 0.004 0.365 0.181
O 0.786 0.289 0.976
O 0.214 0.711 0.024
O 0.744 0.063 0.935
O 0.256 0.937 0.065
O 0.241 0.270 0.013
O 0.759 0.730 0.987
O 0.908 0.343 0.924
O 0.092 0.657 0.076
```

Entry 6:
Li9Mn7O16 | PBE+U | optimized geometry Values from VASP.

Calculated values
- energy above the lowest structure with this stoichiometry (kcal/mol of atoms) = 0.236
- space group = P-1, No. 2
- calculated total energy (eV per atom) = -6.44

```
&SYSTEM
  ibrav = 0, nat = 32, ntyp = 3
/
ATOMIC_SPECIES
Li 6.94 Li.upf
Mn 54.94 Mn.upf
O 16.00 O.upf
CELL_PARAMETERS angstrom
-3.252 -4.858 -1.643
-0.193 4.821 -4.390
8.170 -0.833 -2.904
ATOMIC_POSITIONS crystal
Li 0.746 0.761 0.240
Li 0.252 0.999 0.503
Li 0.252 0.749 0.246
Li 0.748 0.001 0.497
Li 0.748 0.251 0.754
Li 0.254 0.239 0.760
Li 0.235 0.491 0.001
Li 0.765 0.509 0.999
Li 0.500 0.000 0.000
Mn 0.000 0.000 0.000
Mn 0.494 0.244 0.247
Mn 0.000 0.500 0.500
Mn 0.506 0.756 0.753
Mn 0.984 0.242 0.247
Mn 0.500 0.500 0.500
Mn 0.016 0.758 0.753
O 0.098 0.001 0.237
O 0.605 0.257 0.490
O 0.632 0.022 0.250
O 0.108 0.258 0.488
O 0.112 0.508 0.742
O 0.627 0.516 0.741
O 0.662 0.776 0.988
O 0.112 0.761 0.989
O 0.373 0.484 0.259
O 0.892 0.742 0.512
O 0.888 0.492 0.258
O 0.395 0.743 0.510
O 0.368 0.978 0.750
O 0.902 0.999 0.763
O 0.888 0.239 0.011
O 0.338 0.224 0.012
```